Entry from the Materials Project database: crystalline Sr2MgZn2Sn2P4O16 at its relaxed geometry (PBE).

Summary:
energy of formation = -2.556 eV/atom
spin magnetization = 0.0 Bohr magnetons per cell
space group = P1

Cell lengths 5.781, 7.694, 9.908 Å; angles 112.42, 98.96, 94.83 degrees
Fractional positions:
Sr: 0.153 0.827 0.066
Sr: 0.859 0.180 0.976
Mg: 0.456 0.437 0.947
Zn: 0.052 0.305 0.610
Zn: 0.011 0.682 0.411
Sn: 0.634 0.791 0.522
Sn: 0.472 0.129 0.488
P: 0.346 0.425 0.192
P: 0.618 0.569 0.762
P: 0.784 0.978 0.267
P: 0.223 0.020 0.756
O: 0.735 0.597 0.923
O: 0.597 0.434 0.155
O: 0.646 0.752 0.734
O: 0.028 0.141 0.727
O: 0.347 0.496 0.755
O: 0.242 0.859 0.608
O: 0.820 0.174 0.409
O: 0.150 0.946 0.869
O: 0.239 0.231 0.180
O: 0.802 0.004 0.124
O: 0.194 0.476 0.066
O: 0.326 0.582 0.350
O: 0.726 0.410 0.649
O: 0.527 0.888 0.256
O: 0.979 0.860 0.294
O: 0.463 0.161 0.823

Entry from the Materials Project database: crystalline Sr2MgZn2Sn2P4O16 at its relaxed geometry (PBE).

Summary:
energy of formation = -2.574 eV/atom
spin magnetization = 0.0 Bohr magnetons per cell
space group = P1

Cell lengths 5.488, 6.719, 11.688 Å; angles 104.68, 93.20, 98.76 degrees
Fractional positions:
Sr: 0.211 0.794 0.046
Sr: 0.769 0.199 0.958
Mg: 0.814 0.534 0.257
Zn: 0.080 0.461 0.740
Zn: 0.075 0.680 0.487
Sn: 0.671 0.906 0.635
Sn: 0.237 0.135 0.355
P: 0.329 0.400 0.181
P: 0.666 0.590 0.801
P: 0.720 0.994 0.221
P: 0.223 0.016 0.773
O: 0.861 0.552 0.893
O: 0.546 0.437 0.105
O: 0.706 0.827 0.803
O: 0.023 0.137 0.727
O: 0.399 0.533 0.834
O: 0.177 0.788 0.691
O: 0.820 0.227 0.286
O: 0.206 0.036 0.905
O: 0.238 0.163 0.168
O: 0.685 0.953 0.084
O: 0.099 0.488 0.142
O: 0.440 0.496 0.312
O: 0.729 0.467 0.677
O: 0.471 0.913 0.265
O: 0.917 0.862 0.253
O: 0.484 0.125 0.754

Entry from the Materials Project database: crystalline SrMgP2O7 at its relaxed geometry (PBE).

Summary:
energy of formation = -3.122 eV/atom
spin magnetization = 0.0 Bohr magnetons per cell
space group = P2_1/c

Cell lengths 8.391, 5.373, 13.946 Å; angles 68.09, 90.00, 90.00 degrees
Fractional positions:
Sr: 0.164 0.510 0.778
Sr: 0.664 0.490 0.722
Sr: 0.836 0.490 0.222
Sr: 0.336 0.510 0.278
Mg: 0.350 0.215 0.607
Mg: 0.150 0.215 0.107
Mg: 0.650 0.785 0.393
Mg: 0.850 0.785 0.893
P: 0.965 0.076 0.670
P: 0.202 0.833 0.979
P: 0.535 0.076 0.170
P: 0.035 0.924 0.330
P: 0.798 0.167 0.021
P: 0.298 0.833 0.479
P: 0.702 0.167 0.521
P: 0.465 0.924 0.830
O: 0.096 0.769 0.901
O: 0.596 0.231 0.599
O: 0.904 0.231 0.099
O: 0.404 0.769 0.401
O: 0.170 0.116 0.977
O: 0.670 0.884 0.523
O: 0.830 0.884 0.023
O: 0.330 0.116 0.477
O: 0.195 0.606 0.086
O: 0.695 0.394 0.414
O: 0.805 0.394 0.914
O: 0.305 0.606 0.586
O: 0.385 0.190 0.762
O: 0.885 0.810 0.738
O: 0.615 0.810 0.238
O: 0.115 0.190 0.262
O: 0.114 0.824 0.444
O: 0.614 0.176 0.056
O: 0.886 0.176 0.556
O: 0.386 0.824 0.944
O: 0.860 0.976 0.345
O: 0.360 0.024 0.155
O: 0.140 0.024 0.655
O: 0.640 0.976 0.845
O: 0.061 0.707 0.286
O: 0.561 0.293 0.214
O: 0.939 0.293 0.714
O: 0.439 0.707 0.786

Entry from the Materials Project database: crystalline Sr7Mg8P12O45 at its relaxed geometry (PBE).

Summary:
energy of formation = -3.144 eV/atom
spin magnetization = 0.0 Bohr magnetons per cell
space group = C2/m

Cell lengths 7.307, 11.843, 22.516 Å; angles 74.75, 90.03, 90.11 degrees
Fractional positions:
Sr: 0.246 0.233 0.111
Sr: 0.247 0.566 0.445
Sr: 0.248 0.902 0.777
Sr: 0.754 0.656 0.111
Sr: 0.753 0.989 0.445
Sr: 0.752 0.320 0.777
Sr: 0.753 0.767 0.889
Sr: 0.754 0.100 0.222
Sr: 0.752 0.431 0.556
Sr: 0.247 0.344 0.889
Sr: 0.246 0.678 0.222
Sr: 0.248 0.013 0.556
Sr: 0.500 0.500 0.000
Sr: 0.500 0.833 0.333
Mg: 0.500 0.611 0.779
Mg: 0.500 0.942 0.115
Mg: 0.500 0.276 0.449
Mg: 0.000 0.612 0.777
Mg: 0.000 0.945 0.110
Mg: 0.000 0.277 0.446
Mg: 0.500 0.391 0.218
Mg: 0.500 0.723 0.554
Mg: 0.500 0.058 0.885
Mg: 0.000 0.388 0.223
Mg: 0.000 0.722 0.556
Mg: 0.000 0.056 0.887
Mg: 0.500 0.167 0.667
Mg: 0.000 0.500 0.000
Mg: 0.000 0.833 0.333
Mg: 0.000 0.167 0.667
P: 0.469 0.811 0.000
P: 0.469 0.144 0.333
P: 0.467 0.467 0.667
P: 0.531 0.189 0.000
P: 0.531 0.523 0.333
P: 0.533 0.867 0.667
P: 0.035 0.801 0.000
P: 0.035 0.134 0.334
P: 0.034 0.466 0.667
P: 0.965 0.200 0.000
P: 0.965 0.533 0.334
P: 0.966 0.867 0.667
P: 0.241 0.506 0.129
P: 0.241 0.840 0.462
P: 0.250 0.174 0.793
P: 0.759 0.365 0.129
P: 0.759 0.698 0.462
P: 0.750 0.033 0.793
P: 0.759 0.494 0.871
P: 0.759 0.827 0.205
P: 0.750 0.159 0.540
P: 0.241 0.635 0.871
P: 0.241 0.968 0.205
P: 0.250 0.301 0.540
O: 0.219 0.472 0.067
O: 0.218 0.805 0.401
O: 0.250 0.143 0.730
O: 0.781 0.461 0.067
O: 0.782 0.795 0.401
O: 0.750 0.127 0.730
O: 0.782 0.529 0.933
O: 0.781 0.862 0.266
O: 0.750 0.190 0.604
O: 0.218 0.539 0.933
O: 0.219 0.872 0.266
O: 0.250 0.206 0.604
O: 0.253 0.784 0.000
O: 0.253 0.117 0.333
O: 0.250 0.451 0.667
O: 0.747 0.216 0.000
O: 0.747 0.549 0.333
O: 0.750 0.882 0.667
O: 0.484 0.098 0.060
O: 0.484 0.431 0.393
O: 0.479 0.774 0.725
O: 0.516 0.842 0.060
O: 0.516 0.176 0.393
O: 0.521 0.501 0.725
O: 0.020 0.107 0.058
O: 0.020 0.440 0.392
O: 0.021 0.774 0.725
O: 0.980 0.835 0.058
O: 0.980 0.168 0.392
O: 0.979 0.501 0.725
O: 0.516 0.902 0.941
O: 0.516 0.235 0.274
O: 0.521 0.560 0.608
O: 0.484 0.157 0.941
O: 0.484 0.491 0.274
O: 0.479 0.832 0.608
O: 0.980 0.894 0.941
O: 0.980 0.226 0.275
O: 0.979 0.559 0.608
O: 0.020 0.165 0.941
O: 0.020 0.498 0.275
O: 0.021 0.832 0.608
O: 0.248 0.570 0.817
O: 0.247 0.903 0.151
O: 0.249 0.234 0.487
O: 0.752 0.613 0.817
O: 0.753 0.946 0.151
O: 0.751 0.280 0.487
O: 0.753 0.431 0.182
O: 0.752 0.763 0.516
O: 0.751 0.100 0.847
O: 0.247 0.387 0.182
O: 0.248 0.720 0.516
O: 0.249 0.054 0.847
O: 0.567 0.697 0.000
O: 0.567 0.030 0.333
O: 0.547 0.346 0.667
O: 0.433 0.303 0.000
O: 0.433 0.636 0.333
O: 0.453 0.987 0.667
O: 0.956 0.681 0.000
O: 0.956 0.014 0.333
O: 0.953 0.346 0.667
O: 0.044 0.319 0.000
O: 0.044 0.653 0.333
O: 0.047 0.987 0.667
O: 0.423 0.567 0.135
O: 0.423 0.901 0.468
O: 0.425 0.237 0.805
O: 0.577 0.298 0.135
O: 0.577 0.631 0.468
O: 0.575 0.958 0.805
O: 0.075 0.573 0.143
O: 0.075 0.906 0.477
O: 0.076 0.237 0.805
O: 0.925 0.284 0.143
O: 0.925 0.617 0.477
O: 0.924 0.958 0.805
O: 0.577 0.433 0.865
O: 0.577 0.766 0.199
O: 0.575 0.097 0.528
O: 0.423 0.702 0.865
O: 0.423 0.035 0.199
O: 0.425 0.375 0.528
O: 0.925 0.427 0.856
O: 0.925 0.760 0.190
O: 0.924 0.096 0.528
O: 0.075 0.717 0.856
O: 0.075 0.050 0.190
O: 0.076 0.375 0.528

Entry from the Materials Project database: crystalline SrMgTiP2O8 at its relaxed geometry (PBE).

Summary:
energy of formation = -2.996 eV/atom
spin magnetization = 0.0 Bohr magnetons per cell
space group = P-1

Cell lengths 5.608, 6.765, 9.467 Å; angles 107.41, 105.01, 97.36 degrees
Fractional positions:
Sr: 0.787 0.260 0.051
Sr: 0.213 0.740 0.949
Mg: 0.657 0.251 0.647
Mg: 0.343 0.749 0.353
Ti: 0.942 0.665 0.549
Ti: 0.058 0.335 0.451
P: 0.843 0.822 0.236
P: 0.157 0.178 0.764
P: 0.442 0.270 0.297
P: 0.558 0.730 0.703
O: 0.067 0.325 0.890
O: 0.557 0.742 0.211
O: 0.107 0.946 0.758
O: 0.743 0.572 0.692
O: 0.443 0.258 0.789
O: 0.572 0.833 0.577
O: 0.428 0.167 0.423
O: 0.625 0.882 0.869
O: 0.893 0.054 0.242
O: 0.375 0.118 0.131
O: 0.933 0.675 0.110
O: 0.014 0.810 0.393
O: 0.986 0.190 0.607
O: 0.717 0.411 0.346
O: 0.257 0.428 0.308
O: 0.283 0.589 0.654